[1]
First-principles (PBE+U) data for Fe9PO12 after structural relaxation, as listed in the Materials Project.

```
Fe9PO12
1.0
3.104 0.000 0.000
0.000 3.004 13.306
0.000 -3.004 13.306
Fe P O
9 1 12
direct
0.000 0.000 0.000
0.000 0.169 0.169
0.000 0.349 0.349
0.000 0.673 0.673
0.500 0.003 0.513
0.500 0.340 0.829
0.500 0.466 0.466
0.500 0.513 0.003
0.500 0.829 0.340
0.500 0.876 0.876
0.000 0.087 0.087
0.000 0.271 0.271
0.000 0.424 0.424
0.000 0.598 0.598
0.000 0.750 0.750
0.000 0.906 0.906
0.500 0.060 0.627
0.500 0.243 0.768
0.500 0.418 0.931
0.500 0.627 0.060
0.500 0.768 0.243
0.500 0.931 0.418
```

Output
Formation energy (kJ/mol of formula units): -3395
Total moment (μB per cell): 37.42
Space group: No. 38
DFT total energy (eV per formula unit): -147.66

[2]
First-principles (PBE+U) data for CaLa2Mn3O9 after structural relaxation, as listed in the Materials Project.

```
CaLa2Mn3O9
1.0
13.539 0.000 0.000
0.000 5.562 0.000
-0.016 0.000 9.561
Ca La Mn O
4 8 12 36
direct
0.250 0.037 0.001
0.250 0.463 0.501
0.750 0.537 0.499
0.750 0.963 0.999
0.086 0.527 0.168
0.086 0.973 0.668
0.411 0.536 0.836
0.411 0.964 0.336
0.589 0.036 0.664
0.589 0.464 0.164
0.914 0.027 0.332
0.914 0.473 0.832
0.000 0.000 0.000
0.000 0.500 0.500
0.168 0.501 0.832
0.168 0.999 0.332
0.334 0.003 0.666
0.334 0.497 0.166
0.500 0.000 0.000
0.500 0.500 0.500
0.666 0.503 0.834
0.666 0.997 0.334
0.832 0.001 0.668
0.832 0.499 0.168
0.058 0.714 0.905
0.058 0.786 0.405
0.082 0.218 0.882
0.082 0.282 0.382
0.106 0.520 0.644
0.106 0.980 0.144
0.230 0.021 0.519
0.230 0.479 0.019
0.249 0.706 0.289
0.249 0.794 0.789
0.272 0.210 0.254
0.272 0.290 0.754
0.391 0.706 0.571
0.391 0.794 0.071
0.423 0.206 0.550
0.423 0.294 0.050
0.441 0.508 0.309
0.441 0.992 0.809
0.559 0.008 0.191
0.559 0.492 0.691
0.577 0.706 0.950
0.577 0.794 0.450
0.609 0.206 0.929
0.609 0.294 0.429
0.728 0.710 0.246
0.728 0.790 0.746
0.751 0.206 0.211
0.751 0.294 0.711
0.770 0.521 0.981
0.770 0.979 0.481
0.894 0.020 0.856
0.894 0.480 0.356
0.918 0.718 0.618
0.918 0.782 0.118
0.942 0.214 0.595
0.942 0.286 0.095
```

Output
Formation energy (kJ/mol of formula units): -4134
Total moment (μB per cell): 44.00
Energy above the most stable polymorph in this dataset (kJ per mole of atoms): 0.0
Space group: No. 14
DFT total energy (eV per formula unit): -115.55

[3]
First-principles (PBE+U) data for Sr2MnO4 after structural relaxation, as listed in the Materials Project.

```
Sr2MnO4
1.0
-1.933 1.933 6.291
1.933 -1.933 6.291
1.933 1.933 -6.291
Sr Mn O
2 1 4
direct
0.144 0.144 0.000
0.856 0.856 0.000
0.500 0.500 0.000
0.000 0.500 0.500
0.344 0.344 0.000
0.500 0.000 0.500
0.656 0.656 0.000
```

Output
Formation energy (kJ/mol of formula units): -1821
Space group: No. 139
DFT total energy (eV per formula unit): -46.79

[4]
First-principles (PBE+U) data for V2CuP2O14 after structural relaxation, as listed in the Materials Project.

```
V2CuP2O14
1.0
7.179 0.000 0.000
0.000 8.936 0.000
-2.155 0.000 8.618
V Cu P O
4 2 4 28
direct
0.082 0.250 0.014
0.094 0.750 0.520
0.906 0.250 0.480
0.918 0.750 0.986
0.477 0.750 0.370
0.523 0.250 0.630
0.007 0.000 0.752
0.007 0.500 0.752
0.993 0.000 0.248
0.993 0.500 0.248
0.124 0.100 0.174
0.124 0.400 0.174
0.128 0.597 0.372
0.128 0.903 0.372
0.139 0.099 0.876
0.139 0.250 0.528
0.139 0.401 0.876
0.139 0.599 0.678
0.139 0.901 0.678
0.148 0.750 0.038
0.411 0.750 0.547
0.417 0.250 0.107
0.495 0.593 0.259
0.495 0.907 0.259
0.505 0.093 0.741
0.505 0.407 0.741
0.583 0.750 0.893
0.589 0.250 0.453
0.852 0.250 0.962
0.861 0.099 0.322
0.861 0.401 0.322
0.861 0.599 0.124
0.861 0.750 0.472
0.861 0.901 0.124
0.872 0.097 0.628
0.872 0.403 0.628
0.876 0.600 0.826
0.876 0.900 0.826
```

Output
Formation energy (kJ/mol of formula units): -3003
Total moment (μB per cell): 10.00
Space group: No. 11
DFT total energy (eV per formula unit): -120.48

[5]
First-principles (PBE+U) data for LiCr2O4 after structural relaxation, as listed in the Materials Project.

```
LiCr2O4
1.0
5.784 0.000 0.000
-2.892 5.009 0.000
0.000 0.000 9.377
Li Cr O
4 8 16
direct
0.000 0.000 0.000
0.000 0.000 0.500
0.333 0.667 0.398
0.667 0.333 0.898
0.171 0.341 0.715
0.171 0.829 0.715
0.333 0.667 0.990
0.341 0.171 0.215
0.659 0.829 0.715
0.667 0.333 0.490
0.829 0.171 0.215
0.829 0.659 0.215
0.000 0.000 0.311
0.000 0.000 0.811
0.043 0.522 0.845
0.169 0.337 0.106
0.169 0.831 0.106
0.333 0.667 0.604
0.337 0.169 0.606
0.478 0.522 0.845
0.478 0.957 0.845
0.522 0.043 0.345
0.522 0.478 0.345
0.663 0.831 0.106
0.667 0.333 0.104
0.831 0.169 0.606
0.831 0.663 0.606
0.957 0.478 0.345
```

Output
Formation energy (kJ/mol of formula units): -1499
Total moment (μB per cell): 20.00
Energy above the most stable polymorph in this dataset (kJ per mole of atoms): 3.7
Space group: No. 186
DFT total energy (eV per formula unit): -49.80

[6]
First-principles (PBE+U) data for Li8Mn3Fe5B8O24 after structural relaxation, as listed in the Materials Project.

```
Li8Mn3Fe5B8O24
1.0
5.245 0.000 0.000
0.114 6.037 0.000
0.201 2.352 15.970
Li Mn Fe B O
8 3 5 8 24
direct
0.000 0.000 0.000
0.001 0.498 0.498
0.197 0.877 0.529
0.198 0.378 0.030
0.501 0.749 0.750
0.502 0.248 0.249
0.697 0.628 0.280
0.699 0.126 0.780
0.018 0.584 0.680
0.517 0.338 0.430
0.681 0.541 0.098
0.012 0.088 0.181
0.177 0.286 0.852
0.185 0.788 0.347
0.512 0.842 0.928
0.689 0.037 0.599
0.019 0.277 0.341
0.020 0.776 0.843
0.180 0.600 0.187
0.182 0.099 0.687
0.520 0.527 0.592
0.521 0.028 0.091
0.676 0.351 0.935
0.678 0.850 0.437
0.031 0.733 0.235
0.036 0.229 0.736
0.058 0.988 0.629
0.063 0.485 0.130
0.136 0.393 0.398
0.141 0.892 0.900
0.167 0.643 0.796
0.168 0.143 0.294
0.261 0.052 0.081
0.261 0.550 0.578
0.439 0.577 0.201
0.441 0.075 0.698
0.531 0.485 0.982
0.532 0.982 0.486
0.552 0.737 0.380
0.557 0.233 0.879
0.636 0.644 0.649
0.647 0.141 0.148
0.665 0.897 0.043
0.670 0.392 0.546
0.760 0.299 0.328
0.761 0.799 0.832
0.937 0.328 0.947
0.937 0.826 0.448
```

Output
Formation energy (kJ/mol of formula units): -11092
Total moment (μB per cell): 35.00
Energy above the most stable polymorph in this dataset (kJ per mole of atoms): 0.2
Space group: No. 1
DFT total energy (eV per formula unit): -339.48

[7]
First-principles (PBE+U) data for LiCoO2 after structural relaxation, as listed in the Materials Project.

```
LiCoO2
1.0
2.994 0.000 0.000
0.000 2.994 0.000
0.000 0.000 3.857
Li Co O
1 1 2
direct
0.000 0.000 0.000
0.500 0.500 0.500
0.000 0.000 0.500
0.500 0.500 0.000
```

Output
Formation energy (kJ/mol of formula units): -595
Total moment (μB per cell): 3.77
Space group: No. 123
DFT total energy (eV per formula unit): -22.06

[8]
First-principles (PBE+U) data for LiCr4Hg2O8 after structural relaxation, as listed in the Materials Project.

```
LiCr4Hg2O8
1.0
5.330 -3.036 0.000
5.330 3.036 0.000
-3.744 0.000 5.544
Li Cr Hg O
1 4 2 8
direct
0.000 0.000 0.000
0.464 0.464 0.492
0.471 0.471 0.992
0.471 0.971 0.994
0.971 0.471 0.994
0.103 0.103 0.443
0.802 0.802 0.549
0.220 0.680 0.194
0.231 0.231 0.211
0.245 0.245 0.822
0.255 0.724 0.792
0.680 0.220 0.194
0.699 0.699 0.167
0.699 0.699 0.767
0.724 0.255 0.792
```

Output
Formation energy (kJ/mol of formula units): -2544
Total moment (μB per cell): 12.90
Energy above the most stable polymorph in this dataset (kJ per mole of atoms): 0.0
Space group: No. 8
DFT total energy (eV per formula unit): -93.59

[9]
First-principles (PBE+U) data for Sr2VMoO6 after structural relaxation, as listed in the Materials Project.

```
Sr2VMoO6
1.0
-0.001 3.997 3.980
-0.001 -3.997 3.980
8.041 0.000 -0.002
O V Sr Mo
12 2 4 2
direct
0.000 0.000 0.750
0.250 0.750 0.500
0.000 0.000 0.250
0.237 0.237 0.500
0.763 0.763 0.000
0.250 0.750 0.000
0.500 0.500 0.750
0.763 0.763 0.500
0.500 0.500 0.250
0.237 0.237 0.000
0.750 0.250 0.000
0.750 0.250 0.500
0.000 0.000 0.500
0.000 0.000 0.000
0.500 0.000 0.750
0.000 0.500 0.250
0.000 0.500 0.750
0.500 0.000 0.250
0.500 0.500 0.000
0.500 0.500 0.500
```

Output
Formation energy (kJ/mol of formula units): -2594
Total moment (μB per cell): 0.44
Energy above the most stable polymorph in this dataset (kJ per mole of atoms): 6.4
DFT total energy (eV per formula unit): -70.86

[10]
First-principles (PBE+U) data for MgVCr2Fe3P6O24 after structural relaxation, as listed in the Materials Project.

```
MgVCr2Fe3P6O24
1.0
8.588 0.000 0.000
-4.210 7.593 0.000
-0.051 -4.982 7.119
Mg V Cr Fe P O
1 1 2 3 6 24
direct
0.000 0.000 0.000
0.286 0.520 0.760
0.404 0.263 0.132
0.875 0.240 0.621
0.449 0.961 0.483
0.646 0.754 0.878
0.844 0.561 0.279
0.145 0.053 0.675
0.153 0.469 0.378
0.154 0.771 0.092
0.631 0.742 0.175
0.632 0.053 0.880
0.640 0.449 0.572
0.098 0.214 0.688
0.113 0.414 0.526
0.116 0.585 0.890
0.190 0.101 0.876
0.193 0.965 0.087
0.196 0.312 0.225
0.319 0.086 0.616
0.322 0.697 0.468
0.328 0.855 0.234
0.458 0.626 0.006
0.462 0.830 0.823
0.465 0.443 0.625
0.612 0.226 0.045
0.614 0.556 0.181
0.616 0.420 0.378
0.644 0.908 0.369
0.648 0.089 0.723
0.660 0.273 0.552
0.805 0.859 0.128
0.809 0.062 0.940
0.813 0.671 0.734
0.968 0.826 0.531
0.971 0.434 0.293
0.975 0.674 0.142
```

Output
Formation energy (kJ/mol of formula units): -8674
Total moment (μB per cell): 22.16
Energy above the most stable polymorph in this dataset (kJ per mole of atoms): 4.3
Space group: No. 1
DFT total energy (eV per formula unit): -267.58

[11]
First-principles (PBE+U) data for Li4Co3O7 after structural relaxation, as listed in the Materials Project.

```
Li4Co3O7
1.0
2.873 0.000 0.000
0.141 8.320 0.000
1.071 2.139 10.266
Li Co O
8 6 14
direct
0.000 0.000 0.000
0.000 0.500 0.000
0.130 0.074 0.720
0.284 0.644 0.430
0.432 0.200 0.138
0.568 0.800 0.862
0.716 0.356 0.570
0.870 0.926 0.280
0.139 0.568 0.718
0.288 0.143 0.425
0.426 0.725 0.139
0.574 0.275 0.861
0.712 0.857 0.575
0.861 0.432 0.282
0.016 0.255 0.983
0.123 0.817 0.712
0.124 0.319 0.732
0.276 0.395 0.418
0.297 0.891 0.440
0.430 0.940 0.144
0.442 0.481 0.149
0.558 0.519 0.851
0.570 0.060 0.856
0.703 0.109 0.560
0.724 0.605 0.582
0.876 0.681 0.268
0.877 0.183 0.288
0.984 0.745 0.017
```

Output
Formation energy (kJ/mol of formula units): -2287
Total moment (μB per cell): 2.00
Energy above the most stable polymorph in this dataset (kJ per mole of atoms): 1.7
Space group: No. 2
DFT total energy (eV per formula unit): -77.58

[12]
First-principles (PBE+U) data for RbCoCuF6 after structural relaxation, as listed in the Materials Project.

```
RbCoCuF6
1.0
-3.619 3.680 5.170
3.619 -3.680 5.170
3.619 3.680 -5.170
Rb Co Cu F
2 2 2 12
direct
0.373 0.123 0.250
0.627 0.877 0.750
0.000 0.500 0.500
0.500 0.500 0.000
0.000 0.000 0.500
0.000 0.500 0.000
0.073 0.823 0.250
0.076 0.426 0.257
0.076 0.819 0.649
0.321 0.571 0.750
0.330 0.181 0.757
0.330 0.574 0.149
0.670 0.426 0.851
0.670 0.819 0.243
0.679 0.429 0.250
0.924 0.181 0.351
0.924 0.574 0.743
0.927 0.177 0.750
```

Output
Formation energy (kJ/mol of formula units): -1916
Total moment (μB per cell): 0.05
Space group: No. 74
DFT total energy (eV per formula unit): -39.12